Entry 1:
A plane-wave DFT calculation with meta-GGA r2SCAN was carried out for an optimized crystal structure of CaNb2P2O11.

Cell: 9.261 9.261 5.247 Å, 86.93 86.93 71.61°
Sites, in units of the cell vectors:
Nb: 0.995 0.754 0.737
Nb: 0.246 0.005 0.763
Nb: 0.754 0.995 0.237
Nb: 0.005 0.246 0.263
O: 0.832 0.407 0.494
O: 0.925 0.375 0.944
O: 0.407 0.832 0.994
O: 0.142 0.372 0.287
O: 0.346 0.485 0.134
O: 0.654 0.515 0.866
O: 0.862 0.915 0.922
O: 0.170 0.830 0.750
O: 0.625 0.075 0.556
O: 0.372 0.142 0.787
O: 0.075 0.625 0.056
O: 0.375 0.925 0.444
O: 0.138 0.085 0.078
O: 0.085 0.138 0.578
O: 0.628 0.858 0.213
O: 0.830 0.170 0.250
O: 0.915 0.862 0.422
O: 0.593 0.168 0.006
O: 0.168 0.593 0.506
O: 0.858 0.628 0.713
O: 0.515 0.654 0.366
O: 0.485 0.346 0.634
Ca: 0.395 0.605 0.750
Ca: 0.605 0.395 0.250
P: 0.814 0.481 0.755
P: 0.186 0.519 0.245
P: 0.481 0.814 0.255
P: 0.519 0.186 0.745

space-group type	C2/c

---

Entry 2:
A plane-wave DFT calculation with meta-GGA r2SCAN was carried out for an optimized crystal structure of CaNd4Rh4O12.

Cell: 6.318 6.308 7.454 Å, 90.00 90.00 72.11°
Sites, in units of the cell vectors:
Rh: 0.495 0.978 0.487
Rh: 0.977 0.503 0.475
Rh: 0.495 0.978 0.013
Rh: 0.977 0.503 0.025
Nd: 0.045 0.947 0.250
Nd: 0.522 0.388 0.250
Nd: 0.167 0.161 0.750
Nd: 0.489 0.568 0.750
O: 0.880 0.488 0.750
O: 0.754 0.101 0.452
O: 0.226 0.853 0.948
O: 0.326 0.337 0.539
O: 0.651 0.646 0.446
O: 0.108 0.562 0.250
O: 0.326 0.337 0.961
O: 0.564 0.919 0.750
O: 0.226 0.853 0.552
O: 0.754 0.101 0.048
O: 0.651 0.646 0.054
O: 0.375 0.059 0.250
Ca: 0.916 0.842 0.750

space-group type	Pm

---

Entry 3:
A plane-wave DFT calculation with meta-GGA r2SCAN was carried out for an optimized crystal structure of CaNdRh2.

Cell: 4.892 4.892 4.892 Å, 60.00 60.00 60.00°
Sites, in units of the cell vectors:
Rh: 0.000 0.000 0.000
Rh: 0.500 0.500 0.500
Nd: 0.750 0.750 0.750
Ca: 0.250 0.250 0.250

space-group type	Fm-3m

---

Entry 4:
A plane-wave DFT calculation with meta-GGA r2SCAN was carried out for an optimized crystal structure of CaNdZn2.

Cell: 5.171 5.171 5.171 Å, 60.05 60.05 60.05°
Sites, in units of the cell vectors:
Zn: 0.500 0.500 0.500
Zn: 0.000 0.000 0.000
Ca: 0.250 0.250 0.250
Nd: 0.750 0.750 0.750

space-group type	Fm-3m

---

Entry 5:
A plane-wave DFT calculation with meta-GGA r2SCAN was carried out for an optimized crystal structure of CaNi2.

Cell: 5.038 5.038 5.038 Å, 60.00 60.00 60.00°
Sites, in units of the cell vectors:
Ca: 0.125 0.125 0.125
Ca: 0.875 0.875 0.875
Ni: 0.500 0.500 0.000
Ni: 0.500 0.000 0.500
Ni: 0.500 0.500 0.500
Ni: 0.000 0.500 0.500

space-group type	Fd-3m

---

Entry 6:
A plane-wave DFT calculation with meta-GGA r2SCAN was carried out for an optimized crystal structure of CaNiP4O12.

Cell: 7.443 7.443 9.734 Å, 67.49 67.49 71.53°
Sites, in units of the cell vectors:
Ni: 0.500 0.000 0.500
Ni: 0.000 0.500 0.000
O: 0.792 0.324 0.073
O: 0.125 0.299 0.174
O: 0.700 0.467 0.823
O: 0.346 0.181 0.349
O: 0.512 0.740 0.945
O: 0.208 0.676 0.927
O: 0.099 0.820 0.421
O: 0.875 0.701 0.826
O: 0.181 0.346 0.849
O: 0.740 0.512 0.445
O: 0.820 0.099 0.921
O: 0.819 0.654 0.151
O: 0.533 0.300 0.677
O: 0.300 0.533 0.177
O: 0.654 0.819 0.651
O: 0.701 0.875 0.326
O: 0.299 0.125 0.674
O: 0.488 0.260 0.055
O: 0.467 0.700 0.323
O: 0.676 0.208 0.427
O: 0.260 0.488 0.555
O: 0.180 0.901 0.079
O: 0.901 0.180 0.579
O: 0.324 0.792 0.573
P: 0.715 0.277 0.971
P: 0.307 0.309 0.700
P: 0.693 0.691 0.300
P: 0.277 0.715 0.471
P: 0.691 0.693 0.800
P: 0.309 0.307 0.200
P: 0.723 0.285 0.529
P: 0.285 0.723 0.029
Ca: 0.052 0.948 0.750
Ca: 0.948 0.052 0.250

space-group type	C2/c

---

Entry 7:
A plane-wave DFT calculation with meta-GGA r2SCAN was carried out for an optimized crystal structure of Ca2Ni7P4.

Cell: 3.669 9.125 10.308 Å, 90.00 90.00 90.00°
Sites, in units of the cell vectors:
Ca: 0.000 0.438 0.179
Ca: 0.000 0.061 0.394
Ca: 0.500 0.562 0.679
Ca: 0.500 0.939 0.894
Ni: 0.000 0.416 0.874
Ni: 0.500 0.906 0.595
Ni: 0.500 0.271 0.007
Ni: 0.000 0.061 0.701
Ni: 0.000 0.304 0.600
Ni: 0.500 0.584 0.374
Ni: 0.500 0.316 0.415
Ni: 0.500 0.253 0.774
Ni: 0.500 0.696 0.100
Ni: 0.000 0.094 0.095
Ni: 0.000 0.684 0.915
Ni: 0.000 0.729 0.507
Ni: 0.500 0.939 0.201
Ni: 0.000 0.747 0.274
P: 0.500 0.186 0.210
P: 0.500 0.158 0.584
P: 0.000 0.814 0.710
P: 0.000 0.842 0.084
P: 0.500 0.522 0.959
P: 0.000 0.478 0.459
P: 0.500 0.819 0.392
P: 0.000 0.181 0.892

space-group type	Pmn2_1

---

Entry 8:
A plane-wave DFT calculation with meta-GGA r2SCAN was carried out for an optimized crystal structure of CaNi4Sn2.

Cell: 6.664 6.664 6.664 Å, 108.51 109.95 109.95°
Sites, in units of the cell vectors:
Ni: 0.221 0.695 0.195
Ni: 0.500 0.195 0.975
Ni: 0.500 0.805 0.025
Ni: 0.500 0.525 0.305
Ni: 0.500 0.475 0.695
Ni: 0.779 0.305 0.805
Ni: 0.779 0.975 0.475
Ni: 0.221 0.025 0.525
Sn: 0.500 0.158 0.342
Sn: 0.500 0.842 0.658
Sn: 0.183 0.342 0.842
Sn: 0.817 0.658 0.158
Ca: 0.000 0.750 0.750
Ca: 0.000 0.250 0.250

space-group type	I4/mcm

---

no.,formation energy from the elements (eV/atom)
1,-2.803
2,-2.223
3,-0.528
4,-0.309
5,-0.111
6,-2.440
7,-0.775
8,-0.312